i | First-principles (PBE) data for a relaxed structure of MgTi2O4, as listed in the Materials Project.

```
28
Lattice="-0.561 -1.921 2.042 -5.176 -4.847 -5.981 8.533 -5.555 -2.883" Properties=species:S:1:pos:R:3 pbc="T T T"
Ti -1.702 -7.144 -6.188
Ti 2.825 -9.924 -7.559
Ti 2.816 -5.811 -3.692
Ti 4.197 -9.091 -4.397
Ti -1.401 -3.233 -2.425
Ti -0.028 -2.399 0.738
Ti -0.020 -6.513 -3.130
Ti 4.499 -5.179 -0.634
Mg 5.497 -7.329 -2.382
Mg 1.310 -8.711 -4.832
Mg -2.700 -4.995 -4.440
Mg 1.487 -3.613 -1.989
O -2.888 -4.737 -2.247
O 7.393 -6.432 -3.019
O 1.593 -1.820 -0.274
O -4.596 -5.892 -3.802
O 2.725 -4.283 -0.278
O -0.319 -3.861 -0.716
O 4.605 -5.325 -2.743
O 1.577 -5.803 -2.023
O 1.220 -6.521 -4.798
O 1.204 -10.503 -6.547
O 5.684 -7.586 -4.575
O -1.808 -6.999 -4.078
O -0.461 -4.592 -3.445
O 0.072 -8.041 -6.544
O 3.258 -7.732 -3.376
O 3.115 -8.463 -6.105
```

ii | First-principles (PBE) data for a relaxed structure of MgTi2O4, as listed in the Materials Project.

```
7
Lattice="-2.587 -2.465 -1.560 3.154 -2.324 -1.560 -0.221 -0.117 5.425" Properties=species:S:1:pos:R:3 pbc="T T T"
O -1.294 -1.242 -0.766
O 1.578 -1.222 -0.688
O 0.318 -3.801 0.605
O 0.030 -1.211 1.863
Ti 0.003 -0.102 0.157
Ti 1.604 -2.264 0.916
Mg -1.257 -2.723 1.515
```

iii | First-principles (PBE) data for a relaxed structure of MgTi2O4, as listed in the Materials Project.

```
28
Lattice="5.020 0.000 0.000 0.000 5.805 0.000 0.000 0.000 10.527" Properties=species:S:1:pos:R:3 pbc="T T T"
O 3.196 0.000 6.649
O 0.804 4.346 6.662
O 4.215 1.444 1.398
O 1.565 0.000 8.933
O 0.804 4.346 3.865
O 1.824 2.902 9.141
O 3.454 2.902 3.670
O 4.215 4.361 1.398
O 0.804 1.459 3.865
O 3.196 0.000 3.878
O 4.215 1.444 9.129
O 1.565 0.000 1.594
O 3.454 2.902 6.857
O 0.804 1.459 6.662
O 1.824 2.902 1.386
O 4.215 4.361 9.129
Ti 0.170 2.902 2.493
Ti 0.170 2.902 8.034
Ti 4.850 0.000 2.771
Ti 4.850 0.000 7.756
Ti 2.510 4.353 7.895
Ti 2.510 1.451 2.632
Ti 2.510 4.353 2.632
Ti 2.510 1.451 7.895
Mg 4.884 2.902 5.263
Mg 1.682 0.000 5.263
Mg 3.338 2.902 0.000
Mg 0.136 0.000 0.000
```

So which one is most stable? That would be iii, about 24 meV per atom below the next structure.

i | First-principles (PBE) data for a relaxed structure of LiAl4Tl4O12, as listed in the Materials Project.

```
21
Lattice="-1.748 3.650 -3.390 -5.107 -1.826 0.728 -1.582 4.997 6.098" Properties=species:S:1:pos:R:3 pbc="T T T"
Li -3.272 5.277 -0.704
O -3.154 0.775 1.829
O -6.526 3.729 0.675
O -4.916 1.531 -1.676
O -1.242 2.749 0.243
O -2.481 3.168 2.902
O -3.698 4.313 0.822
O -3.451 5.283 5.044
O -5.186 2.531 2.979
O -5.866 4.197 5.684
O -5.490 6.082 1.882
O -2.328 5.892 2.605
O -2.489 2.720 -2.282
Tl -4.945 -0.656 1.798
Tl -6.256 1.988 5.270
Tl -4.405 4.589 3.123
Tl -3.553 2.138 0.066
Al -5.419 5.194 0.173
Al -7.532 4.969 5.002
Al -1.760 4.340 1.394
Al -5.722 7.607 2.920
```

ii | First-principles (PBE) data for a relaxed structure of LiAl4Tl4O12, as listed in the Materials Project.

```
21
Lattice="-5.397 0.290 -0.130 0.097 -4.901 2.542 0.026 3.515 6.775" Properties=species:S:1:pos:R:3 pbc="T T T"
O -4.186 -3.390 2.263
O -2.902 -2.044 7.521
O -0.427 -1.313 2.833
O -1.540 -1.447 5.249
O -1.078 1.085 4.089
O -4.176 -2.032 4.882
O -2.123 -3.796 4.127
O -3.805 -1.027 0.886
O -5.025 0.369 6.277
O -3.794 0.453 3.740
O -1.067 2.558 6.927
O -1.528 0.153 8.333
Al -2.565 -4.627 2.532
Al -5.318 -2.193 1.251
Al -5.306 -0.512 4.492
Al -2.553 -2.969 5.728
Tl -2.655 0.645 6.125
Tl -5.067 2.517 5.163
Tl -2.697 -1.532 2.955
Tl -5.383 1.000 1.652
Li -1.203 -1.073 7.011
```

So which one is most stable? That would be i, about 14 meV per atom below the next structure.

i | First-principles (PBE) data for a relaxed structure of Sm3In, as listed in the Materials Project.

```
8
Lattice="3.538 -6.128 0.000 3.538 6.128 0.000 0.000 0.000 5.538" Properties=species:S:1:pos:R:3 pbc="T T T"
In 3.538 -2.043 1.384
In 3.538 2.043 4.153
Sm 5.224 1.069 1.384
Sm 5.224 -1.069 4.153
Sm 3.538 3.990 1.384
Sm 1.852 1.069 1.384
Sm 1.852 -1.069 4.153
Sm 3.538 -3.990 4.153
```

ii | First-principles (PBE) data for a relaxed structure of Sm3In, as listed in the Materials Project.

```
4
Lattice="-2.106 4.463 0.237 -1.419 -0.916 4.643 4.238 1.911 1.672" Properties=species:S:1:pos:R:3 pbc="T T T"
Sm 1.066 3.187 0.955
Sm 1.410 0.497 3.158
Sm -1.762 1.773 2.440
In 0.000 0.000 0.000
```

So which one is most stable? That would be ii, about 10 meV per atom below the next structure.

i | First-principles (PBE) data for a relaxed structure of CaHf8N8O4, as listed in the Materials Project.

```
21
Lattice="-4.293 -1.498 -3.613 -2.817 4.019 -3.228 4.924 -3.650 -9.162" Properties=species:S:1:pos:R:3 pbc="T T T"
Hf -2.812 3.475 -3.264
Hf -2.440 0.320 -2.607
Hf 0.244 0.089 -10.133
Hf -4.201 0.187 -8.252
Hf 0.611 -2.970 -9.483
Hf -4.764 1.153 -4.720
Hf -1.705 -2.149 -11.708
Hf 1.427 -1.664 -4.813
N -1.829 -0.939 -13.951
N 0.766 -1.894 -11.468
N -1.258 2.064 -3.056
N -2.301 0.630 -7.902
N 0.024 -0.249 -4.913
N -1.412 -3.361 -9.949
N -3.296 -0.332 -4.361
N 0.590 -1.104 -8.552
O -1.607 -0.200 -11.113
O -3.864 2.957 -5.038
O -4.760 1.118 -9.917
O 2.999 -2.487 -9.440
Ca -1.746 -0.714 -6.197
```

ii | First-principles (PBE) data for a relaxed structure of CaHf8N8O4, as listed in the Materials Project.

```
21
Lattice="5.455 -0.029 0.018 2.746 -4.902 0.625 2.658 2.870 -10.758" Properties=species:S:1:pos:R:3 pbc="T T T"
O 3.479 -3.042 -3.561
O 4.244 1.666 -6.670
O 3.988 -3.799 -0.445
O 3.493 2.184 -9.642
N 3.696 0.473 -3.928
N 4.538 -1.679 -6.315
N 8.252 -0.534 -8.932
N 1.721 -1.937 -1.292
N 7.239 0.168 -6.356
N 6.199 -1.196 -3.904
N 4.227 -0.909 -1.395
N 6.190 1.656 -9.136
Hf 2.662 -1.242 -3.078
Hf 8.115 -1.742 -7.132
Hf 7.735 -4.072 -1.612
Hf 2.668 -0.314 -0.093
Hf 5.384 -0.020 -5.378
Hf 5.405 -3.065 -4.420
Hf 7.891 1.304 -8.004
Hf 5.422 -2.196 -0.226
Ca 5.330 -0.560 -9.150
```

So which one is most stable? That would be ii, about 88 meV per atom below the next structure.